# KPO2F2 | the Materials Project | r²SCAN | optimized geometry
# - Crystal system: orthorhombic
# - Spin magnetization: 0.0 μB/cell
# - Electronic total energy: -8.2261 eV per atom
data_KPO2F2
_chemical_formula_sum 'K4 P4 O8 F8'
_cell_length_a 7.893
_cell_length_b 6.162
_cell_length_c 7.535
_cell_angle_alpha 90.00
_cell_angle_beta 90.00
_cell_angle_gamma 90.00
_space_group_name_H-M_alt 'P n m a'
_space_group_IT_number 62
_space_group_name_Hall '-P 2ac 2n'
loop_
_atom_site_label
_atom_site_fract_x
_atom_site_fract_y
_atom_site_fract_z
K1 0.151 0.250 0.144
P1 0.092 0.250 0.692
O1 0.098 0.040 0.785
F1 0.065 0.750 0.438
F2 0.233 0.250 0.543